Record 1
# Na5Ti2Si2PO13, optimized geometry, DFT PBE
data_Na5Ti2Si2PO13
_cell_length_a 5.461
_cell_length_b 7.159
_cell_length_c 14.699
_cell_angle_alpha 100.01
_cell_angle_beta 96.56
_cell_angle_gamma 90.57
_symmetry_space_group_name_H-M 'P 1'
_symmetry_Int_Tables_number 1
loop_
_symmetry_equiv_pos_as_xyz
'x,y,z'
loop_
_atom_site_label
_atom_site_type_symbol
_atom_site_fract_x
_atom_site_fract_y
_atom_site_fract_z
Na1 Na 0.827 0.579 0.768
Na2 Na 0.173 0.421 0.232
Na3 Na 0.246 0.123 0.999
Na4 Na 0.244 0.744 0.419
Na5 Na 0.679 0.967 0.362
Na6 Na 0.754 0.877 0.001
Na7 Na 0.674 0.460 0.395
Na8 Na 0.326 0.540 0.605
Na9 Na 0.321 0.033 0.638
Na10 Na 0.756 0.256 0.581
Si1 Si 0.647 0.642 0.197
Si2 Si 0.328 0.795 0.824
Si3 Si 0.353 0.358 0.803
Si4 Si 0.672 0.205 0.176
Ti1 Ti 0.779 0.382 0.990
Ti2 Ti 0.171 0.930 0.221
Ti3 Ti 0.221 0.618 0.010
Ti4 Ti 0.829 0.070 0.779
O1 O 0.138 0.827 0.092
O2 O 0.748 0.599 0.612
O3 O 0.060 0.876 0.792
O4 O 0.413 0.394 0.918
O5 O 0.555 0.902 0.791
O6 O 0.330 0.230 0.526
O7 O 0.587 0.269 0.751
O8 O 0.413 0.731 0.249
O9 O 0.641 0.200 0.064
O10 O 0.098 0.241 0.758
O11 O 0.082 0.422 0.067
O12 O 0.862 0.173 0.908
O13 O 0.670 0.770 0.474
O14 O 0.445 0.098 0.209
O15 O 0.899 0.226 0.440
O16 O 0.234 0.035 0.364
O17 O 0.252 0.401 0.388
O18 O 0.101 0.774 0.560
O19 O 0.940 0.124 0.208
O20 O 0.766 0.965 0.636
O21 O 0.359 0.800 0.936
O22 O 0.902 0.759 0.242
O23 O 0.587 0.606 0.082
O24 O 0.918 0.578 0.933
O25 O 0.321 0.570 0.770
O26 O 0.679 0.430 0.230
P1 P 0.178 0.227 0.430
P2 P 0.822 0.773 0.570
# E: -7.038 eV per atom
# symmetry: P-1 (2)
# magnetization: 0.01 Bohr magnetons per cell

Record 2
# Na3Ti4SiP5O24, optimized geometry, DFT PBE
data_Na3Ti4SiP5O24
_cell_length_a 8.681
_cell_length_b 8.643
_cell_length_c 22.306
_cell_angle_alpha 90.02
_cell_angle_beta 90.04
_cell_angle_gamma 119.87
_symmetry_space_group_name_H-M 'P 1'
_symmetry_Int_Tables_number 1
loop_
_symmetry_equiv_pos_as_xyz
'x,y,z'
loop_
_atom_site_label
_atom_site_type_symbol
_atom_site_fract_x
_atom_site_fract_y
_atom_site_fract_z
O1 O 0.167 0.695 0.757
O2 O 0.830 0.809 0.589
O3 O 0.633 0.131 0.140
O4 O 0.163 0.697 0.472
O5 O 0.501 0.130 0.642
O6 O 0.512 0.828 0.758
O7 O 0.971 0.815 0.091
O8 O 0.502 0.643 0.576
O9 O 0.037 0.831 0.695
O10 O 0.636 0.504 0.639
O11 O 0.971 0.170 0.306
O12 O 0.505 0.857 0.076
O13 O 0.970 0.166 0.590
O14 O 0.539 0.841 0.474
O15 O 0.162 0.466 0.972
O16 O 0.699 0.535 0.527
O17 O 0.205 0.167 0.806
O18 O 0.501 0.362 0.423
O19 O 0.498 0.368 0.139
O20 O 0.473 0.170 0.525
O21 O 0.830 0.526 0.743
O22 O 0.862 0.496 0.142
O23 O 0.132 0.496 0.861
O24 O 0.540 0.697 0.974
O25 O 0.029 0.193 0.910
O26 O 0.165 0.973 0.910
O27 O 0.808 0.832 0.910
O28 O 0.794 0.826 0.193
O29 O 0.835 0.299 0.528
O30 O 0.686 0.174 0.744
O31 O 0.166 0.192 0.409
O32 O 0.859 0.358 0.924
O33 O 0.808 0.973 0.409
O34 O 0.697 0.164 0.027
O35 O 0.504 0.638 0.862
O36 O 0.154 0.643 0.076
O37 O 0.303 0.466 0.472
O38 O 0.167 0.474 0.258
O39 O 0.306 0.831 0.258
O40 O 0.473 0.167 0.243
O41 O 0.643 0.142 0.423
O42 O 0.463 0.299 0.027
O43 O 0.030 0.201 0.194
O44 O 0.199 0.029 0.306
O45 O 0.799 0.967 0.689
O46 O 0.305 0.475 0.757
O47 O 0.970 0.799 0.806
O48 O 0.363 0.851 0.575
O49 O 0.838 0.032 0.808
O50 O 0.691 0.525 0.244
O51 O 0.304 0.837 0.972
O52 O 0.832 0.024 0.091
O53 O 0.872 0.368 0.639
O54 O 0.830 0.801 0.305
O55 O 0.135 0.638 0.361
O56 O 0.860 0.500 0.424
O57 O 0.170 0.969 0.195
O58 O 0.365 0.502 0.076
O59 O 0.143 0.501 0.576
O60 O 0.171 0.203 0.694
O61 O 0.178 0.023 0.590
O62 O 0.362 0.497 0.361
O63 O 0.028 0.835 0.409
O64 O 0.832 0.305 0.244
O65 O 0.363 0.871 0.859
O66 O 0.503 0.866 0.361
O67 O 0.638 0.496 0.922
O68 O 0.525 0.693 0.258
O69 O 0.472 0.307 0.743
O70 O 0.191 0.167 0.091
O71 O 0.502 0.141 0.924
O72 O 0.826 0.531 0.026
Na1 Na 0.327 0.666 0.168
Na2 Na 0.007 0.006 0.999
Na3 Na 0.327 0.655 0.667
Na4 Na 0.673 0.340 0.834
Na5 Na 0.365 0.000 0.750
Na6 Na 0.007 0.000 0.499
Na7 Na 0.667 0.968 0.584
Na8 Na 0.667 0.699 0.083
Na9 Na 0.667 0.333 0.333
Ti1 Ti 0.993 0.000 0.854
Ti2 Ti 0.674 0.337 0.187
Ti3 Ti 0.658 0.330 0.479
Ti4 Ti 0.669 0.337 0.980
Ti5 Ti 0.000 0.000 0.353
Ti6 Ti 0.327 0.666 0.519
Ti7 Ti 0.004 0.999 0.647
Ti8 Ti 0.339 0.665 0.814
Ti9 Ti 0.322 0.666 0.019
Ti10 Ti 0.334 0.667 0.313
Ti11 Ti 0.670 0.330 0.686
Ti12 Ti 0.008 0.002 0.147
P1 P 0.997 0.709 0.751
P2 P 0.666 0.619 0.583
P3 P 0.622 0.666 0.918
P4 P 0.667 0.047 0.083
P5 P 0.622 0.955 0.417
P6 P 0.044 0.666 0.416
P7 P 0.711 0.712 0.250
P8 P 0.290 0.001 0.251
P9 P 0.378 0.331 0.083
P10 P 0.333 0.379 0.416
P11 P 0.045 0.378 0.916
P12 P 0.333 0.957 0.916
P13 P 0.001 0.288 0.250
P14 P 0.287 0.290 0.751
P15 P 0.957 0.336 0.582
Si1 Si 0.959 0.622 0.083
Si2 Si 0.372 0.044 0.583
Si3 Si 0.713 0.999 0.749
# E: -7.620 eV per atom
# symmetry: P1 (1)
# magnetization: 0.00 Bohr magnetons per cell

Record 3
# Na7Y2Ti2Si3P3O24, optimized geometry, DFT PBE
data_Na7Y2Ti2Si3P3O24
_cell_length_a 9.172
_cell_length_b 9.169
_cell_length_c 22.266
_cell_angle_alpha 90.14
_cell_angle_beta 89.83
_cell_angle_gamma 119.93
_symmetry_space_group_name_H-M 'P 1'
_symmetry_Int_Tables_number 1
loop_
_symmetry_equiv_pos_as_xyz
'x,y,z'
loop_
_atom_site_label
_atom_site_type_symbol
_atom_site_fract_x
_atom_site_fract_y
_atom_site_fract_z
O1 O 0.652 0.497 0.920
O2 O 0.296 0.840 0.251
O3 O 0.810 0.836 0.925
O4 O 0.170 0.000 0.586
O5 O 0.176 0.173 0.694
O6 O 0.338 0.836 0.570
O7 O 0.313 0.476 0.464
O8 O 0.514 0.666 0.569
O9 O 0.545 0.705 0.253
O10 O 0.705 0.544 0.252
O11 O 0.840 0.500 0.434
O12 O 0.083 0.609 0.355
O13 O 0.534 0.648 0.854
O14 O 0.455 0.161 0.251
O15 O 0.635 0.553 0.645
O16 O 0.640 0.100 0.141
O17 O 0.469 0.318 0.741
O18 O 0.172 0.190 0.417
O19 O 0.474 0.159 0.528
O20 O 0.156 0.690 0.742
O21 O 0.220 0.201 0.807
O22 O 0.525 0.829 0.740
O23 O 0.190 0.007 0.312
O24 O 0.172 0.674 0.073
O25 O 0.990 0.788 0.805
O26 O 0.811 0.816 0.193
O27 O 0.148 0.484 0.973
O28 O 0.687 0.522 0.536
O29 O 0.824 0.995 0.413
O30 O 0.170 0.467 0.249
O31 O 0.333 0.841 0.969
O32 O 0.920 0.390 0.643
O33 O 0.826 0.999 0.689
O34 O 0.906 0.518 0.141
O35 O 0.488 0.338 0.429
O36 O 0.366 0.453 0.355
O37 O 0.801 0.019 0.810
O38 O 0.425 0.299 0.023
O39 O 0.022 0.842 0.412
O40 O 0.831 0.303 0.531
O41 O 0.003 0.817 0.691
O42 O 0.042 0.207 0.923
O43 O 0.525 0.842 0.471
O44 O 0.507 0.662 0.974
O45 O 0.523 0.907 0.355
O46 O 0.175 0.996 0.197
O47 O 0.686 0.171 0.744
O48 O 0.178 0.975 0.923
O49 O 0.483 0.383 0.140
O50 O 0.997 0.173 0.313
O51 O 0.859 0.574 0.028
O52 O 0.996 0.173 0.194
O53 O 0.982 0.160 0.587
O54 O 0.286 0.455 0.742
O55 O 0.167 0.695 0.468
O56 O 0.706 0.131 0.030
O57 O 0.161 0.177 0.094
O58 O 0.113 0.467 0.859
O59 O 0.498 0.132 0.922
O60 O 0.835 0.532 0.744
O61 O 0.514 0.838 0.078
O62 O 0.999 0.835 0.096
O63 O 0.823 0.993 0.092
O64 O 0.327 0.502 0.077
O65 O 0.161 0.500 0.565
O66 O 0.828 0.297 0.255
O67 O 0.345 0.885 0.856
O68 O 0.860 0.343 0.924
O69 O 0.471 0.086 0.643
O70 O 0.829 0.812 0.583
O71 O 0.659 0.163 0.428
O72 O 0.827 0.819 0.308
Na1 Na 0.003 0.998 0.500
Na2 Na 0.958 0.662 0.925
Na3 Na 0.676 0.352 0.342
Na4 Na 0.657 0.967 0.580
Na5 Na 0.376 0.002 0.741
Na6 Na 0.343 0.306 0.922
Na7 Na 0.335 0.653 0.657
Na8 Na 0.974 0.312 0.418
Na9 Na 0.013 0.993 0.007
Na10 Na 0.023 0.340 0.087
Na11 Na 0.636 0.634 0.746
Na12 Na 0.028 0.693 0.584
Na13 Na 0.673 0.688 0.084
Na14 Na 0.626 0.002 0.255
Na15 Na 0.668 0.334 0.833
Na16 Na 0.322 0.672 0.162
Na17 Na 0.001 0.617 0.251
Na18 Na 0.371 0.375 0.248
Na19 Na 0.988 0.363 0.745
Na20 Na 0.335 0.032 0.418
Na21 Na 0.700 0.032 0.919
P1 P 0.041 0.375 0.919
P2 P 0.338 0.959 0.918
P3 P 0.721 0.721 0.251
P4 P 0.996 0.707 0.745
P5 P 0.288 0.288 0.746
P6 P 0.279 0.001 0.253
P7 P 0.668 0.017 0.085
P8 P 0.662 0.636 0.582
P9 P 0.338 0.367 0.417
Si1 Si 0.998 0.282 0.253
Si2 Si 0.360 0.025 0.581
Si3 Si 0.632 0.972 0.416
Si4 Si 0.629 0.662 0.918
Si5 Si 0.706 0.004 0.746
Si6 Si 0.979 0.339 0.582
Si7 Si 0.986 0.652 0.085
Si8 Si 0.354 0.336 0.084
Si9 Si 0.023 0.663 0.416
Ti1 Ti 0.329 0.672 0.512
Ti2 Ti 0.010 0.008 0.147
Ti3 Ti 0.001 0.009 0.643
Ti4 Ti 0.669 0.328 0.486
Ti5 Ti 0.335 0.666 0.020
Ti6 Ti 0.988 0.997 0.358
Y1 Y 0.329 0.662 0.321
Y2 Y 0.663 0.335 0.992
Y3 Y 0.667 0.332 0.672
Y4 Y 0.338 0.668 0.811
Y5 Y 0.670 0.334 0.184
Y6 Y 0.995 0.998 0.854
# E: -7.242 eV per atom
# symmetry: P1 (1)
# magnetization: 0.00 Bohr magnetons per cell

Record 4
# Na6Ti3ZnSi2P4O24, optimized geometry, DFT PBE
data_Na6Ti3ZnSi2P4O24
_cell_length_a 15.430
_cell_length_b 8.897
_cell_length_c 8.873
_cell_angle_alpha 90.36
_cell_angle_beta 124.74
_cell_angle_gamma 89.92
_symmetry_space_group_name_H-M 'P 1'
_symmetry_Int_Tables_number 1
loop_
_symmetry_equiv_pos_as_xyz
'x,y,z'
loop_
_atom_site_label
_atom_site_type_symbol
_atom_site_fract_x
_atom_site_fract_y
_atom_site_fract_z
O1 O 0.429 0.555 0.570
O2 O 0.929 0.055 0.570
O3 O 0.939 0.931 0.084
O4 O 0.413 0.629 0.253
O5 O 0.355 0.915 0.262
O6 O 0.538 0.822 0.570
O7 O 0.062 0.943 0.430
O8 O 0.575 0.650 0.249
O9 O 0.762 0.686 0.252
O10 O 0.562 0.443 0.430
O11 O 0.439 0.431 0.084
O12 O 0.150 0.376 0.929
O13 O 0.042 0.669 0.066
O14 O 0.950 0.337 0.937
O15 O 0.154 0.443 0.258
O16 O 0.569 0.551 0.915
O17 O 0.356 0.140 0.070
O18 O 0.655 0.081 0.728
O19 O 0.242 0.681 0.256
O20 O 0.421 0.347 0.756
O21 O 0.855 0.415 0.262
O22 O 0.574 0.352 0.730
O23 O 0.351 0.071 0.752
O24 O 0.861 0.348 0.593
O25 O 0.262 0.186 0.252
O26 O 0.038 0.322 0.570
O27 O 0.751 0.342 0.735
O28 O 0.361 0.848 0.593
O29 O 0.654 0.943 0.258
O30 O 0.851 0.571 0.752
O31 O 0.645 0.170 0.411
O32 O 0.542 0.169 0.066
O33 O 0.248 0.313 0.760
O34 O 0.469 0.161 0.429
O35 O 0.742 0.181 0.256
O36 O 0.069 0.051 0.915
O37 O 0.921 0.847 0.756
O38 O 0.969 0.661 0.429
O39 O 0.074 0.852 0.730
O40 O 0.748 0.813 0.760
O41 O 0.856 0.640 0.070
O42 O 0.145 0.670 0.411
O43 O 0.650 0.876 0.929
O44 O 0.251 0.842 0.735
O45 O 0.075 0.150 0.249
O46 O 0.155 0.581 0.728
O47 O 0.913 0.129 0.253
O48 O 0.450 0.837 0.937
P1 P 0.496 0.457 0.745
P2 P 0.354 0.894 0.759
P3 P 0.001 0.040 0.256
P4 P 0.646 0.115 0.246
P5 P 0.854 0.394 0.759
P6 P 0.501 0.540 0.256
P7 P 0.996 0.957 0.745
P8 P 0.146 0.615 0.246
Na1 Na 0.249 0.748 0.998
Na2 Na 0.508 0.096 0.768
Na3 Na 0.749 0.248 0.998
Na4 Na 0.000 0.388 0.236
Na5 Na 0.184 0.074 0.795
Na6 Na 0.747 0.748 0.487
Na7 Na 0.247 0.248 0.487
Na8 Na 0.684 0.574 0.795
Na9 Na 0.303 0.428 0.217
Na10 Na 0.803 0.928 0.217
Na11 Na 0.008 0.596 0.768
Na12 Na 0.500 0.888 0.236
Ti1 Ti 0.102 0.746 0.558
Ti2 Ti 0.892 0.755 0.934
Ti3 Ti 0.602 0.246 0.558
Ti4 Ti 0.392 0.255 0.934
Ti5 Ti 0.398 0.755 0.443
Ti6 Ti 0.898 0.255 0.443
Si1 Si 0.854 0.600 0.253
Si2 Si 0.650 0.899 0.750
Si3 Si 0.150 0.399 0.750
Si4 Si 0.354 0.100 0.253
Zn1 Zn 0.604 0.743 0.058
Zn2 Zn 0.104 0.243 0.058
# E: -7.045 eV per atom
# magnetization: 0.00 Bohr magnetons per cell
# energy above the lowest structure with this stoichiometry: 4 meV per atom